(1)
DFT (PBE) results for a relaxed structure of CsErZnSe3.

Values from the calculation:
The MP2020-corrected energy is -4.52 eV/atom. Its formation energy is -1.65 eV per atom. The space group is Cmcm (63).

Unit cell a=4.160 b=8.407 c=10.947 alpha=90.00 beta=90.00 gamma=104.33
Sites, in units of the cell vectors:
Se 0.615 0.229 0.442
Se 0.385 0.771 0.942
Se 0.615 0.229 0.058
Se 0.944 0.889 0.250
Se 0.056 0.111 0.750
Zn 0.463 0.926 0.750
Cs 0.744 0.488 0.750
Er 0.000 0.000 0.000
Zn 0.537 0.074 0.250
Se 0.385 0.771 0.558
Cs 0.256 0.512 0.250
Er 0.000 0.000 0.500

(2)
DFT (PBE) results for a relaxed structure of CsEu.

Values from the calculation:
Its formation energy is 0.30 eV per atom. The space group is P-6m2 (187).

Unit cell a=4.464 b=4.464 c=8.009 alpha=90.00 beta=90.00 gamma=120.00
Sites, in units of the cell vectors:
Cs 0.333 0.667 0.500
Eu 0.000 0.000 0.000